Record 1
A relaxed structure of Ba2Si. Source: the Materials Project database, functional GGA-PBE.

extended XYZ file:
```
12
Lattice="8.5244 0.0000 0.0000 0.0000 5.4188 0.0000 0.0000 0.0000 10.1743" Properties=species:S:1:pos:R:3 pbc="T T T"
Ba 0.1757 1.3547 1.7267
Ba 1.2320 1.3547 5.9309
Ba 3.0302 4.0641 0.8437
Ba 4.0865 4.0641 6.8139
Ba 4.4379 1.3547 3.3604
Ba 5.4942 1.3547 9.3307
Ba 7.2923 4.0641 4.2435
Ba 8.3487 4.0641 8.4476
Si 2.1234 1.3547 9.1431
Si 2.1388 4.0641 4.0559
Si 6.3856 1.3547 6.1184
Si 6.4010 4.0641 1.0312
```

energy of formation from the pure elements = -0.290 eV/atom

Record 2
A relaxed structure of Al2O3. Source: the Materials Project database, functional GGA-PBE.

extended XYZ file:
```
40
Lattice="5.5921 0.0000 0.0000 2.5240 5.3127 0.0000 0.8059 2.8311 13.8834" Properties=species:S:1:pos:R:3 pbc="T T T"
Al 0.0000 0.0000 0.0000
Al 0.9703 2.5029 8.1212
Al 2.4348 4.3545 6.7757
Al 3.1531 4.3680 4.2463
Al 3.3157 5.1628 13.6734
Al 4.2266 5.8550 11.2092
Al 4.2841 4.9355 2.2967
Al 3.3362 3.0555 10.7180
Al 4.0355 3.2634 8.4565
Al 6.0500 7.6906 13.5816
Al 5.5694 5.5230 8.0209
Al 4.2611 1.9601 5.2110
Al 4.5369 1.9067 2.2175
Al 5.8751 4.3585 4.6449
Al 6.9396 4.3860 1.9804
Al 6.5075 3.4427 11.3781
O 0.2093 0.5421 2.0445
O 3.1978 7.3466 12.0373
O 1.4759 2.4888 9.8236
O 2.5351 4.4751 11.9590
O 1.5541 1.0669 0.2004
O 2.3357 2.9615 7.3904
O 2.9189 3.5131 2.4485
O 3.7793 5.7303 7.4454
O 3.3485 4.5861 9.7368
O 2.9280 3.2974 5.2050
O 3.8051 3.9137 0.2538
O 4.5690 5.4845 4.3380
O 5.7474 7.0842 11.7398
O 3.2876 0.5894 2.2788
O 4.9762 4.2711 11.5755
O 6.4548 7.1608 9.1228
O 4.0558 1.1560 0.2708
O 5.0372 2.6543 4.1773
O 5.5610 3.5121 2.4019
O 5.7057 4.2534 8.8033
O 4.8617 2.2126 6.8930
O 6.3083 4.7951 6.4840
O 7.2751 5.3764 4.4885
O 6.7697 3.8581 0.1734
```

energy of formation from the pure elements = -2.487 eV/atom

Record 3
A relaxed structure of Sr3Ca. Source: the Materials Project database, functional GGA-PBE.

extended XYZ file:
```
4
Lattice="0.0000 4.6280 4.6280 4.6280 0.0000 4.6280 4.6280 4.6280 0.0000" Properties=species:S:1:pos:R:3 pbc="T T T"
Sr 0.0000 0.0000 0.0000
Sr 2.3140 2.3140 2.3140
Sr 6.9420 6.9420 6.9420
Ca 4.6280 4.6280 4.6280
```

energy of formation from the pure elements = 0.028 eV/atom

Record 4
A relaxed structure of Sc3InS6. Source: the Materials Project database, functional GGA-PBE.

extended XYZ file:
```
40
Lattice="12.8421 0.0000 0.0000 0.0000 16.1675 0.0000 0.0000 0.0000 3.6827" Properties=species:S:1:pos:R:3 pbc="T T T"
Sc 0.4489 3.6590 0.9122
Sc 2.4567 10.4182 0.9159
Sc 3.1701 6.2471 0.8545
Sc 3.2509 14.3309 2.8282
Sc 3.9643 2.3344 2.7667
Sc 5.9721 11.7428 2.7705
Sc 6.8700 4.4247 2.7705
Sc 8.8778 13.8331 2.7667
Sc 9.5912 1.8366 2.8282
Sc 9.6720 9.9204 0.8545
Sc 10.3854 5.7493 0.9159
Sc 12.3932 12.5085 0.9122
In 0.0000 0.0000 3.1948
In 0.0000 8.0838 2.7425
In 6.4211 0.0000 0.9402
In 6.4211 8.0838 0.4879
S 0.2760 6.3097 0.9052
S 1.3382 14.5826 1.0038
S 1.3942 1.9791 2.7674
S 1.5180 12.0203 2.7685
S 2.3188 4.5867 2.7166
S 2.5537 8.4491 2.7588
S 3.8673 0.3653 0.9239
S 4.1023 12.6704 0.9661
S 4.9030 3.9365 0.9142
S 5.0268 10.0629 0.9153
S 5.0828 6.4988 2.6789
S 6.1451 14.3934 2.7775
S 6.6970 1.7741 2.7775
S 7.7593 9.6687 2.6789
S 7.8153 6.1047 0.9153
S 7.9391 12.2310 0.9142
S 8.7399 3.4971 0.9661
S 8.9748 15.8022 0.9239
S 10.2884 7.7184 2.7588
S 10.5233 11.5809 2.7166
S 11.3241 4.1472 2.7685
S 11.4479 14.1885 2.7674
S 11.5039 1.5850 1.0038
S 12.5662 9.8579 0.9052
```

energy of formation from the pure elements = -1.740 eV/atom